First-principles (PBE-GGA) data for a relaxed MgMo3Se4 crystal, as listed in Materials Project.

Output
Total magnetic moment in μB per cell: 0.00
MP2020-corrected energy in eV per atom: -6.897
E_form in eV per atom: -0.882

Unit cell a=9.3071 b=9.4932 c=9.6919 alpha=66.54 beta=64.89 gamma=65.37
Closest atoms and distances in Å follow each position.
Atoms (fractional coordinates):
Mg: 0.1324 0.2217 0.3212  4 Se 2.60-2.63
Mg: 0.2796 0.7238 0.2356  4 Se 2.59-2.77
Mg: 0.7204 0.2762 0.7644  4 Se 2.59-2.77
Mg: 0.8676 0.7783 0.6788  4 Se 2.60-2.63
Mo: 0.0524 0.1872 0.8605  5 Se 2.60-2.73, 4 Mo 2.66-2.70
Mo: 0.1400 0.4396 0.8174  5 Se 2.58-2.75, 4 Mo 2.66-2.71
Mo: 0.1836 0.3539 0.5636  5 Se 2.59-2.86, 4 Mo 2.67-2.71
Mo: 0.3130 0.1432 0.9376  5 Se 2.59-2.88, 4 Mo 2.66-2.72
Mo: 0.3613 0.0569 0.6817  5 Se 2.58-2.76, 4 Mo 2.67-2.72
Mo: 0.4453 0.3110 0.6402  5 Se 2.59-2.77, 4 Mo 2.67-2.71
Mo: 0.5547 0.6890 0.3598  5 Se 2.59-2.77, 4 Mo 2.67-2.71
Mo: 0.6387 0.9431 0.3183  5 Se 2.58-2.76, 4 Mo 2.67-2.72
Mo: 0.6870 0.8568 0.0624  5 Se 2.59-2.88, 4 Mo 2.66-2.72
Mo: 0.8164 0.6461 0.4364  5 Se 2.59-2.86, 4 Mo 2.67-2.71
Mo: 0.8600 0.5604 0.1826  5 Se 2.58-2.75, 4 Mo 2.66-2.71
Mo: 0.9476 0.8128 0.1395  5 Se 2.60-2.73, 4 Mo 2.66-2.70
Se: 0.0048 0.2728 0.1034  4 Mo 2.60-2.75, 1 Mg 2.63
Se: 0.0969 0.0949 0.6212  1 Mg 2.60, 3 Mo 2.61-2.68
Se: 0.1205 0.5181 0.2660  2 Mg 2.61-2.77, 4 Mo 2.64-2.86
Se: 0.2347 0.8954 0.9645  4 Mo 2.58-2.73, 1 Mg 2.59
Se: 0.2628 0.6059 0.5335  4 Mo 2.60-2.77, 1 Mg 2.61
Se: 0.3835 0.9796 0.2340  1 Mg 2.62, 4 Mo 2.63-2.88
Se: 0.3944 0.3913 0.8937  3 Mo 2.58-2.65, 1 Mg 2.66
Se: 0.4828 0.2310 0.3978  4 Mo 2.59-2.76
Se: 0.5172 0.7690 0.6022  4 Mo 2.59-2.76
Se: 0.6056 0.6087 0.1063  3 Mo 2.58-2.65, 1 Mg 2.66
Se: 0.6165 0.0204 0.7660  1 Mg 2.62, 4 Mo 2.63-2.88
Se: 0.7372 0.3941 0.4665  4 Mo 2.60-2.77, 1 Mg 2.61
Se: 0.7653 0.1046 0.0355  4 Mo 2.58-2.73, 1 Mg 2.59
Se: 0.8795 0.4819 0.7340  2 Mg 2.61-2.77, 4 Mo 2.64-2.86
Se: 0.9031 0.9051 0.3788  1 Mg 2.60, 3 Mo 2.61-2.68
Se: 0.9952 0.7272 0.8966  4 Mo 2.60-2.75, 1 Mg 2.63

---

First-principles (PBE-GGA) data for a relaxed MgMo6Se8 crystal, as listed in Materials Project.

Output
Total magnetic moment in μB per cell: 0.01
MP2020-corrected energy in eV per atom: -7.145
Offset from the most stable computed form in meV/atom: 0
E_form in eV per atom: -0.835

Unit cell a=6.8377 b=6.8558 c=13.6624 alpha=90.79 beta=94.34 gamma=94.47
Closest atoms and distances in Å follow each position.
Atoms (fractional coordinates):
Mg: 0.1167 0.4168 0.2484  5 Se 2.59-2.87
Mg: 0.8833 0.5832 0.7516  5 Se 2.59-2.87
Mo: 0.2307 0.9112 0.0215  5 Se 2.55-2.71, 4 Mo 2.67-2.77
Mo: 0.2362 0.9133 0.5234  5 Se 2.56-2.74, 4 Mo 2.70-2.75
Mo: 0.4130 0.0516 0.8684  5 Se 2.59-2.71, 4 Mo 2.67-2.76
Mo: 0.4172 0.0521 0.3671  5 Se 2.55-2.70, 4 Mo 2.70-2.75
Mo: 0.4563 0.2659 0.0406  5 Se 2.55-2.76, 4 Mo 2.70-2.77
Mo: 0.4570 0.2665 0.5399  5 Se 2.57-2.74, 4 Mo 2.70-2.75
Mo: 0.5430 0.7335 0.4601  5 Se 2.57-2.74, 4 Mo 2.70-2.75
Mo: 0.5437 0.7341 0.9594  5 Se 2.55-2.76, 4 Mo 2.70-2.77
Mo: 0.5828 0.9479 0.6329  5 Se 2.55-2.70, 4 Mo 2.70-2.75
Mo: 0.5870 0.9484 0.1316  5 Se 2.59-2.71, 4 Mo 2.67-2.76
Mo: 0.7638 0.0867 0.4766  5 Se 2.56-2.74, 4 Mo 2.70-2.75
Mo: 0.7693 0.0888 0.9785  5 Se 2.55-2.71, 4 Mo 2.67-2.77
Se: 0.1286 0.2384 0.4336  4 Mo 2.57-2.74, 1 Mg 2.82
Se: 0.1317 0.2340 0.9351  4 Mo 2.55-2.71
Se: 0.2079 0.7269 0.3582  3 Mo 2.55-2.59, 1 Mg 2.59
Se: 0.2114 0.7156 0.8589  3 Mo 2.56-2.59, 1 Mg 2.67
Se: 0.2686 0.1091 0.1817  4 Mo 2.55-2.70, 1 Mg 2.61
Se: 0.2717 0.1194 0.6826  4 Mo 2.56-2.71
Se: 0.3705 0.6199 0.1185  4 Mo 2.59-2.76, 1 Mg 2.87
Se: 0.3749 0.6189 0.6183  4 Mo 2.57-2.74
Se: 0.6251 0.3811 0.3817  4 Mo 2.57-2.74
Se: 0.6295 0.3801 0.8815  4 Mo 2.59-2.76, 1 Mg 2.87
Se: 0.7283 0.8806 0.3174  4 Mo 2.56-2.71
Se: 0.7314 0.8909 0.8183  4 Mo 2.55-2.70, 1 Mg 2.61
Se: 0.7886 0.2844 0.1411  3 Mo 2.56-2.59, 1 Mg 2.67
Se: 0.7921 0.2731 0.6418  3 Mo 2.55-2.59, 1 Mg 2.59
Se: 0.8683 0.7660 0.0649  4 Mo 2.55-2.71
Se: 0.8714 0.7616 0.5664  4 Mo 2.57-2.74, 1 Mg 2.82

---

First-principles (PBE-GGA) data for a relaxed Mg3Mo12Se16 crystal, as listed in Materials Project.

Output
Total magnetic moment in μB per cell: 0.01
MP2020-corrected energy in eV per atom: -7.019
Offset from the most stable computed form in meV/atom: 0
E_form in eV per atom: -0.862

Unit cell a=6.9498 b=6.9916 c=13.8682 alpha=94.30 beta=95.25 gamma=93.12
Closest atoms and distances in Å follow each position.
Atoms (fractional coordinates):
Mg: 0.0000 0.0000 0.0000  4 Se 2.58-2.62
Mg: 0.0962 0.9118 0.6414  4 Se 2.58-2.62
Mg: 0.4535 0.9300 0.3304  4 Se 2.54-2.68
Mo: 0.2855 0.3763 0.0889  5 Se 2.57-2.77, 4 Mo 2.69-2.72
Mo: 0.2938 0.3713 0.5926  5 Se 2.58-2.81, 4 Mo 2.68-2.72
Mo: 0.4598 0.5021 0.9378  5 Se 2.57-2.75, 4 Mo 2.68-2.71
Mo: 0.4648 0.5000 0.4406  5 Se 2.58-2.77, 4 Mo 2.68-2.72
Mo: 0.4994 0.7133 0.1115  5 Se 2.59-2.78, 4 Mo 2.67-2.71
Mo: 0.5026 0.7145 0.6138  5 Se 2.57-2.75, 4 Mo 2.70-2.72
Mo: 0.5952 0.1959 0.5278  5 Se 2.59-2.76, 4 Mo 2.68-2.73
Mo: 0.5953 0.2014 0.0257  5 Se 2.58-2.77, 4 Mo 2.68-2.72
Mo: 0.6311 0.4134 0.1994  5 Se 2.57-2.77, 4 Mo 2.67-2.72
Mo: 0.6356 0.4105 0.7019  5 Se 2.57-2.76, 4 Mo 2.69-2.73
Mo: 0.8046 0.5442 0.0486  5 Se 2.58-2.79, 4 Mo 2.67-2.72
Mo: 0.8059 0.5334 0.5493  5 Se 2.57-2.80, 4 Mo 2.68-2.70
Se: 0.1680 0.6688 0.5007  1 Mg 2.59, 4 Mo 2.60-2.80
Se: 0.1689 0.6743 0.0025  4 Mo 2.60-2.79, 1 Mg 2.62
Se: 0.2550 0.1813 0.4228  3 Mo 2.58-2.65, 1 Mg 2.62
Se: 0.2708 0.1734 0.9177  3 Mo 2.57-2.66, 1 Mg 2.58
Se: 0.3220 0.5781 0.2558  4 Mo 2.60-2.77, 1 Mg 2.68
Se: 0.3262 0.5857 0.7534  4 Mo 2.58-2.75
Se: 0.4180 0.0869 0.1709  1 Mg 2.54, 4 Mo 2.57-2.78
Se: 0.4400 0.0825 0.6828  4 Mo 2.58-2.75, 1 Mg 2.61
Se: 0.6569 0.8296 0.9573  4 Mo 2.59-2.77, 1 Mg 2.60
Se: 0.6854 0.8290 0.4677  1 Mg 2.55, 4 Mo 2.57-2.76
Se: 0.7624 0.3242 0.3842  4 Mo 2.59-2.77
Se: 0.7728 0.3317 0.8869  4 Mo 2.58-2.76
Se: 0.8241 0.7391 0.7224  3 Mo 2.57-2.69, 1 Mg 2.58
Se: 0.8290 0.7371 0.2161  3 Mo 2.57-2.59
Se: 0.9257 0.2372 0.6372  4 Mo 2.60-2.81, 1 Mg 2.62
Se: 0.9279 0.2452 0.1400  1 Mg 2.59, 4 Mo 2.60-2.77

---

First-principles (PBE-GGA) data for a relaxed MgMo6Se8 crystal, as listed in Materials Project.

Output
Total magnetic moment in μB per cell: 0.00
MP2020-corrected energy in eV per atom: -7.144
Offset from the most stable computed form in meV/atom: 1
E_form in eV per atom: -0.835

Unit cell a=6.8088 b=6.8610 c=6.8791 alpha=91.11 beta=94.21 gamma=94.98
Closest atoms and distances in Å follow each position.
Atoms (fractional coordinates):
Mg: 0.0000 0.0000 0.0000  5 Se 2.59-2.86
Mo: 0.3542 0.3302 0.5413  5 Se 2.57-2.72, 4 Mo 2.68-2.72
Mo: 0.5285 0.4699 0.2302  5 Se 2.56-2.70, 4 Mo 2.68-2.75
Mo: 0.5740 0.6813 0.5774  5 Se 2.55-2.74, 4 Mo 2.70-2.75
Mo: 0.6606 0.1524 0.4177  5 Se 2.57-2.78, 4 Mo 2.69-2.74
Mo: 0.7009 0.3653 0.7617  5 Se 2.55-2.71, 4 Mo 2.69-2.74
Mo: 0.8823 0.5050 0.4514  5 Se 2.55-2.72, 4 Mo 2.69-2.74
Se: 0.2493 0.6492 0.3639  4 Mo 2.55-2.72
Se: 0.3295 0.1354 0.2104  3 Mo 2.56-2.60, 1 Mg 2.66
Se: 0.3913 0.5357 0.8609  4 Mo 2.56-2.70
Se: 0.4928 0.0349 0.7300  4 Mo 2.56-2.74
Se: 0.7473 0.7970 0.2591  4 Mo 2.58-2.78, 1 Mg 2.86
Se: 0.8444 0.3048 0.1308  4 Mo 2.56-2.71, 1 Mg 2.60
Se: 0.9133 0.6903 0.7794  3 Mo 2.55-2.60, 1 Mg 2.59
Se: 0.9886 0.1802 0.6296  4 Mo 2.57-2.72, 1 Mg 2.85

---

First-principles (PBE-GGA) data for a relaxed Mg6SiMo crystal, as listed in Materials Project.

Output
Total magnetic moment in μB per cell: 0.00
Offset from the most stable computed form in meV/atom: 0
E_form in eV per atom: 0.166

Unit cell a=4.7794 b=6.1213 c=10.4869 alpha=90.00 beta=90.00 gamma=90.00
Closest atoms and distances in Å follow each position.
Atoms (fractional coordinates):
Mg: 0.0000 0.5000 0.8336  10 Mg 2.96-3.04, 2 Si 3.07
Mg: 0.5000 0.7542 0.9174  2 Mo 2.92-3.15, 8 Mg 2.98-3.11, 2 Si 3.04
Mg: 0.0000 0.0000 0.3336  10 Mg 2.96-3.04, 2 Si 3.07
Mg: 0.0000 0.2601 0.0876  1 Si 2.76, 7 Mg 2.94-3.04, 2 Mo 2.96
Mg: 0.5000 0.0000 0.1667  10 Mg 2.96-3.06, 2 Mo 3.06
Mg: 0.5000 0.2542 0.4174  2 Mo 2.92-3.15, 8 Mg 2.98-3.11, 2 Si 3.04
Mg: 0.0000 0.7399 0.0876  1 Si 2.76, 7 Mg 2.94-3.04, 2 Mo 2.96
Mg: 0.5000 0.2458 0.9174  2 Mo 2.92-3.15, 8 Mg 2.98-3.11, 2 Si 3.04
Mg: 0.0000 0.7601 0.5876  1 Si 2.76, 7 Mg 2.94-3.04, 2 Mo 2.96
Mg: 0.0000 0.2399 0.5876  1 Si 2.76, 7 Mg 2.94-3.04, 2 Mo 2.96
Mg: 0.5000 0.5000 0.6667  10 Mg 2.96-3.06, 2 Mo 3.06
Mg: 0.5000 0.7458 0.4174  2 Mo 2.92-3.15, 8 Mg 2.98-3.11, 2 Si 3.04
Mo: 0.5000 0.0000 0.6788  2 Si 2.76, 8 Mg 2.92-3.06
Mo: 0.5000 0.5000 0.1788  2 Si 2.76, 8 Mg 2.92-3.06
Si: 0.0000 0.5000 0.3107  2 Mo 2.76, 8 Mg 2.76-3.07
Si: 0.0000 0.0000 0.8107  2 Mo 2.76, 8 Mg 2.76-3.07

---

First-principles (PBE-GGA) data for a relaxed Mg6SiMo crystal, as listed in Materials Project.

Output
Total magnetic moment in μB per cell: 0.02
Offset from the most stable computed form in meV/atom: 31
E_form in eV per atom: 0.197

Unit cell a=5.0254 b=5.6802 c=10.7207 alpha=90.00 beta=90.00 gamma=90.00
Closest atoms and distances in Å follow each position.
Atoms (fractional coordinates):
Mg: 0.5000 0.5000 0.3229  10 Mg 2.84-3.14, 2 Mo 2.97
Mg: 0.5000 0.2575 0.0820  6 Mg 2.76-3.04, 2 Mo 3.03, 2 Si 3.06
Mg: 0.5000 0.0000 0.8229  10 Mg 2.84-3.14, 2 Mo 2.97
Mg: 0.5000 0.5000 0.8241  10 Mg 2.84-3.09, 2 Si 3.01
Mg: 0.5000 0.2425 0.5820  6 Mg 2.76-3.04, 2 Mo 3.03, 2 Si 3.06
Mg: 0.0000 0.2508 0.4223  8 Mg 2.83-3.07, 2 Si 3.01-3.06, 2 Mo 3.01-3.06
Mg: 0.0000 0.7492 0.4223  8 Mg 2.83-3.07, 2 Si 3.01-3.06, 2 Mo 3.01-3.06
Mg: 0.0000 0.2492 0.9223  8 Mg 2.83-3.07, 2 Si 3.01-3.06, 2 Mo 3.01-3.06
Mg: 0.5000 0.7425 0.0820  6 Mg 2.76-3.04, 2 Mo 3.03, 2 Si 3.06
Mg: 0.5000 0.0000 0.3241  10 Mg 2.84-3.09, 2 Si 3.01
Mg: 0.0000 0.7508 0.9223  8 Mg 2.83-3.07, 2 Si 3.01-3.06, 2 Mo 3.01-3.06
Mg: 0.5000 0.7575 0.5820  6 Mg 2.76-3.04, 2 Mo 3.03, 2 Si 3.06
Si: 0.0000 0.5000 0.6699  2 Mo 2.84, 10 Mg 3.01-3.06
Si: 0.0000 0.0000 0.1699  2 Mo 2.84, 10 Mg 3.01-3.06
Mo: 0.0000 0.5000 0.1746  2 Si 2.84, 10 Mg 2.97-3.06
Mo: 0.0000 0.0000 0.6746  2 Si 2.84, 10 Mg 2.97-3.06

---

First-principles (PBE-GGA) data for a relaxed Mg6SnMo crystal, as listed in Materials Project.

Output
Total magnetic moment in μB per cell: 0.01
Offset from the most stable computed form in meV/atom: 0
E_form in eV per atom: 0.131

Unit cell a=4.9564 b=6.2616 c=10.6545 alpha=90.00 beta=90.00 gamma=90.00
Closest atoms and distances in Å follow each position.
Atoms (fractional coordinates):
Sn: 0.0000 0.5000 0.3249  10 Mg 2.95-3.23, 2 Mo 3.00
Sn: 0.0000 0.0000 0.8249  10 Mg 2.95-3.23, 2 Mo 3.00
Mg: 0.5000 0.0000 0.1658  10 Mg 3.06-3.10, 2 Mo 3.13
Mg: 0.5000 0.2452 0.4188  2 Mo 3.05-3.13, 8 Mg 3.05-3.19, 2 Sn 3.11
Mg: 0.0000 0.2611 0.0860  2 Sn 2.95-3.23, 8 Mg 2.99-3.27, 2 Mo 3.02
Mg: 0.0000 0.5000 0.8337  10 Mg 3.05-3.10, 2 Sn 3.13
Mg: 0.0000 0.2389 0.5860  2 Sn 2.95-3.23, 8 Mg 2.99-3.27, 2 Mo 3.02
Mg: 0.5000 0.7452 0.9188  2 Mo 3.05-3.13, 8 Mg 3.05-3.19, 2 Sn 3.11
Mg: 0.5000 0.7548 0.4188  2 Mo 3.05-3.13, 8 Mg 3.05-3.19, 2 Sn 3.11
Mg: 0.0000 0.7611 0.5860  2 Sn 2.95-3.23, 8 Mg 2.99-3.27, 2 Mo 3.02
Mg: 0.0000 0.0000 0.3337  10 Mg 3.05-3.10, 2 Sn 3.13
Mg: 0.5000 0.2548 0.9188  2 Mo 3.05-3.13, 8 Mg 3.05-3.19, 2 Sn 3.11
Mg: 0.0000 0.7389 0.0860  2 Sn 2.95-3.23, 8 Mg 2.99-3.27, 2 Mo 3.02
Mg: 0.5000 0.5000 0.6658  10 Mg 3.06-3.10, 2 Mo 3.13
Mo: 0.5000 0.5000 0.1661  2 Sn 3.00, 10 Mg 3.02-3.13
Mo: 0.5000 0.0000 0.6661  2 Sn 3.00, 10 Mg 3.02-3.13

---

First-principles (PBE-GGA) data for a relaxed Mg6SnMo crystal, as listed in Materials Project.

Output
Total magnetic moment in μB per cell: 1.14
Offset from the most stable computed form in meV/atom: 12
E_form in eV per atom: 0.143

Unit cell a=5.0786 b=5.9787 c=10.8533 alpha=90.00 beta=90.00 gamma=90.00
Closest atoms and distances in Å follow each position.
Atoms (fractional coordinates):
Mg: 0.0000 0.7362 0.0846  7 Mg 2.82-3.15, 2 Mo 3.04, 2 Sn 3.12
Mg: 0.0000 0.0000 0.8242  10 Mg 2.96-3.24, 2 Mo 3.05
Mg: 0.5000 0.7515 0.9177  8 Mg 2.97-3.12, 2 Mo 3.09-3.11, 2 Sn 3.10
Mg: 0.0000 0.7638 0.5846  7 Mg 2.82-3.15, 2 Mo 3.04, 2 Sn 3.12
Mg: 0.0000 0.5000 0.3242  10 Mg 2.96-3.24, 2 Mo 3.05
Mg: 0.0000 0.2362 0.5846  7 Mg 2.82-3.15, 2 Mo 3.04, 2 Sn 3.12
Mg: 0.0000 0.0000 0.3350  10 Mg 2.99-3.14, 2 Sn 3.12
Mg: 0.0000 0.5000 0.8350  10 Mg 2.99-3.14, 2 Sn 3.12
Mg: 0.5000 0.7485 0.4177  8 Mg 2.97-3.12, 2 Mo 3.09-3.11, 2 Sn 3.10
Mg: 0.5000 0.2515 0.4177  8 Mg 2.97-3.12, 2 Mo 3.09-3.11, 2 Sn 3.10
Mg: 0.0000 0.2638 0.0846  7 Mg 2.82-3.15, 2 Mo 3.04, 2 Sn 3.12
Mg: 0.5000 0.2485 0.9177  8 Mg 2.97-3.12, 2 Mo 3.09-3.11, 2 Sn 3.10
Sn: 0.5000 0.5000 0.6681  2 Mo 2.99, 10 Mg 3.10-3.12
Sn: 0.5000 0.0000 0.1681  2 Mo 2.99, 10 Mg 3.10-3.12
Mo: 0.5000 0.5000 0.1682  2 Sn 2.99, 10 Mg 3.04-3.11
Mo: 0.5000 0.0000 0.6682  2 Sn 2.99, 10 Mg 3.04-3.11